VASP calculation (GGA-PBE) on crystalline USe2 at its relaxed geometry.

```
12
Lattice="4.1441 0.0000 0.0000 0.0000 7.4980 0.0000 0.0000 0.0000 9.0760" Properties=species:S:1:pos:R:3 pbc="T T T"
Se 3.1080 2.6960 5.1636
Se 3.1080 3.5106 1.4967
Se 1.0360 1.0530 0.6256
Se 1.0360 0.2384 6.0348
Se 1.0360 4.8020 3.9124
Se 3.1080 7.2596 3.0413
Se 3.1080 6.4450 8.4505
Se 1.0360 3.9874 7.5793
U 3.1080 5.5979 5.7182
U 1.0360 1.9001 3.3578
U 3.1080 1.8489 7.8959
U 1.0360 5.6491 1.1802
```

Results
E_form: -1.4176 eV/atom
space-group type: No. 62

---

VASP calculation (GGA-PBE) on crystalline Rb2Bi3F11 at its relaxed geometry.

```
16
Lattice="-1.0673 -1.7197 -3.7885 -0.2098 -2.7140 3.3566 -16.4369 6.6844 3.6814" Properties=species:S:1:pos:R:3 pbc="T T T"
F -8.2178 2.2902 2.3501
F -16.9512 4.2295 2.0457
F -14.2814 5.4005 3.0404
F -2.0792 0.4944 0.4515
F -15.4016 3.0681 4.0160
F -10.5041 0.3238 1.1958
F -5.8948 -1.0208 3.0978
F -1.2503 -2.5090 1.0380
F -12.0602 2.1714 5.5558
F -12.9004 2.7721 3.1761
F -11.0507 2.9538 0.4896
Bi -10.1884 3.0932 2.6676
Bi -13.7405 4.2282 1.2715
Bi -17.5896 2.4740 3.3450
Rb -7.5094 -0.2781 0.7755
Rb -3.8551 -1.5210 1.5259
```

Results
E_form: -2.7610 eV/atom
space-group type: No. 1

---

VASP calculation (GGA-PBE) on crystalline Cs2USi2O8 at its relaxed geometry.

```
104
Lattice="3.4364 -13.0573 2.4152 7.1980 7.4172 9.0171 -13.5122 1.8682 1.4372" Properties=species:S:1:pos:R:3 pbc="T T T"
O -4.8063 4.1044 5.9334
O 8.5108 -5.2121 10.8237
O 0.2411 2.1451 6.8607
O -2.0186 -5.1009 8.3087
O 2.5538 -5.3809 10.4370
O 6.7315 5.6061 9.1198
O 2.2048 -4.7207 2.4959
O -2.2657 -3.9934 10.7018
O -1.1765 -4.0911 5.9517
O -3.2906 -2.0363 6.5491
O -8.1228 -4.9460 5.1158
O -0.8593 1.3290 4.5608
O -8.9323 3.6792 6.7102
O 2.3638 2.6517 3.6022
O -6.6380 -0.8406 1.2671
O 7.2362 -3.1425 9.7987
O -1.3069 -2.5353 8.6046
O -5.0826 0.9488 10.3736
O 4.3958 -0.7864 6.0875
O 3.7849 -3.2615 4.1286
O -9.6093 -9.3780 3.7497
O -9.6206 -5.2338 2.9533
O 1.1975 0.2746 10.5127
O -0.6121 0.2215 2.1677
O 2.4030 3.6481 6.4402
O -10.1140 -0.6294 3.0708
O -7.0419 -0.1505 5.9139
O -6.6627 -0.5104 8.7409
O -4.6955 -6.4744 3.9687
O -6.9637 -4.6763 2.6816
O -3.0849 0.6485 3.1895
O -4.0754 -4.0465 2.3568
O 6.7428 1.4619 9.9162
O 6.0545 -7.4511 6.1593
O -0.6544 -6.6652 6.5788
O -3.1189 -5.9170 6.0088
O 1.8176 2.7025 8.9009
O -3.0688 7.0239 9.4257
O 0.4128 -1.7355 6.3205
O -4.0977 3.6249 10.0928
O -2.7648 5.9796 7.0108
O -1.7014 0.3193 6.9178
O 4.0859 0.9044 10.1880
O -2.2234 2.8933 6.2907
O 3.7601 -2.9313 11.6024
O -5.2809 -7.4199 6.4294
O -8.7011 1.2708 1.8450
O -5.4316 1.6090 2.4325
O 0.2071 -4.4204 9.6800
O 0.1910 -10.7957 3.4438
O -0.1131 -9.7515 5.8587
O -8.6374 -2.8123 3.5412
O 1.2198 -7.3968 2.7768
O -5.5430 -4.7863 5.9007
O 4.1641 -3.6214 6.9557
O 5.8233 -5.0427 11.0246
O 2.6652 1.0145 6.9689
O -1.5709 -1.2366 4.2649
O -7.2736 -2.9855 6.7820
O 5.7595 -0.9596 9.3284
O -5.2416 -6.4235 9.2674
O 1.9285 -7.8763 6.9361
O 5.2450 1.1741 7.7538
O -11.3886 1.4402 2.0458
Cs -5.3101 -1.8226 4.0403
Cs -4.8646 -3.3498 8.8992
Cs -1.1703 4.2206 9.1975
Cs -1.9326 -0.1400 10.2146
Cs 1.7415 -5.0568 5.5432
Cs -6.5001 -8.9523 4.0254
Cs -1.7075 -7.9925 3.6720
Cs -4.6193 1.2850 7.3263
Cs 3.6223 5.1804 8.8442
Cs -6.0419 5.5134 8.3402
Cs -0.9452 -3.6319 2.6549
Cs 4.3719 -6.4519 8.3711
Cs -7.2497 2.6801 4.4985
Cs 2.4323 -1.9493 8.8292
Cs 1.9868 -0.4221 3.9703
Cs 3.1641 -9.2853 4.5293
U -5.0379 -5.5945 1.9262
U 0.0000 0.0000 0.0000
U -1.4389 -1.8859 6.4348
U 5.3172 -2.8200 5.7162
U 3.5990 3.7086 4.5086
U -6.7561 0.9341 0.7186
U -3.1571 4.6427 5.2272
U 1.7182 -6.5286 1.2076
Si -1.5212 0.2127 3.5167
Si -10.1140 0.4397 1.8374
Si 5.4429 0.6756 9.3204
Si -4.6725 -6.1621 5.5721
Si -1.7245 -5.4377 6.7091
Si 1.7946 2.3903 7.2974
Si -9.9548 -1.9327 4.0406
Si 7.2362 -4.2116 11.0322
Si 0.9683 -5.7473 10.3140
Si -7.1225 -4.5534 6.3756
Si 7.0770 -1.8392 8.8289
Si -3.8462 1.9754 2.5556
Si -8.3207 -4.4475 3.5491
Si -1.1533 1.6658 6.1604
Si 4.2446 0.7815 6.4940
Si -1.3566 -3.9846 9.3529
```

Results
E_form: -3.2002 eV/atom
space-group type: No. 73

---

VASP calculation (GGA-PBE) on crystalline CdIn2Se2S2 at its relaxed geometry.

```
7
Lattice="0.1824 3.9105 -1.2968 -3.4767 2.1059 -0.6962 -1.2726 2.4723 13.8335" Properties=species:S:1:pos:R:3 pbc="T T T"
In -1.0957 3.3202 3.3006
In -1.0902 6.3767 12.5182
Se -1.0972 2.5018 0.8325
Se -3.4695 6.0539 11.2100
Cd -3.4712 5.1185 8.3891
S -1.0930 4.8108 7.7958
S -3.4738 3.7196 4.1705
```

Results
offset from the most stable computed form: 72 meV per atom
E_form: -0.6206 eV/atom
space-group type: No. 160

---

VASP calculation (GGA-PBE) on crystalline Ba4Zn11Ge12 at its relaxed geometry.

```
54
Lattice="-6.6413 2.9879 8.0923 7.5283 -2.9786 7.2782 4.2116 10.0359 -0.2492" Properties=species:S:1:pos:R:3 pbc="T T T"
Ge 1.9832 1.5356 6.7192
Ge -1.6042 2.0776 2.5096
Ge 0.6669 7.0973 5.2498
Ge -0.2903 4.8162 5.3064
Ge -0.8255 10.9462 5.3336
Ge 1.6063 -0.5946 3.2022
Ge 1.3220 5.6212 10.9256
Ge 1.6502 9.8324 2.3170
Ge 9.5635 4.2484 6.2800
Ge 5.4877 3.7471 5.8499
Ge 5.3889 5.2290 9.8149
Ge 4.4317 2.9480 9.8715
Ge -4.0798 3.1914 5.5261
Ge 4.6249 7.8305 6.5629
Ge 3.7463 6.5500 0.6561
Ge -0.7192 0.6039 12.1683
Ge 3.7766 4.4241 4.1957
Ge 3.1154 8.5096 8.4022
Ge 7.9936 0.5074 6.3729
Ge -0.3890 6.2982 9.2714
Ge -3.5255 1.7142 9.4552
Ge 0.4737 2.2148 8.5584
Ge 4.4126 -1.7049 5.9153
Ge 2.1764 2.8089 0.7490
Zn 1.6222 3.1960 4.8109
Zn 1.4916 1.8326 12.5301
Zn -0.7932 4.2826 7.7540
Zn 3.4765 6.8493 10.3104
Zn 0.9271 1.8267 2.7497
Zn 3.9879 4.2733 1.6950
Zn 7.7520 2.7840 5.3341
Zn -0.1619 9.0209 3.8593
Zn 5.7175 -0.0686 7.3809
Zn -3.2988 3.7279 7.8989
Zn -0.6189 10.1139 7.7404
Zn 4.1715 8.2186 12.3716
Zn 3.6070 8.2126 2.5912
Zn -1.2168 0.7517 9.7083
Zn 2.1038 -0.7423 5.6622
Zn 4.3601 2.1127 7.4579
Zn 3.1539 6.8459 4.7203
Zn -2.2677 4.0029 3.9839
Zn 8.3974 6.3173 7.2224
Zn 1.9448 3.1994 10.4010
Zn 5.8918 5.7626 7.3673
Zn 0.7385 7.9325 7.6634
Ba -2.8751 7.2589 5.9446
Ba 6.9228 6.0376 3.4522
Ba 4.8170 1.0197 3.5768
Ba 0.0000 0.0000 0.0000
Ba 0.4455 5.7649 1.8985
Ba 2.5493 5.0226 7.5607
Ba -1.4386 0.7493 5.8657
Ba 2.3256 -0.7400 9.5048
```

Results
E_form: -0.1385 eV/atom
space-group type: No. 223

---

VASP calculation (GGA-PBE) on crystalline MgTi2O4 at its relaxed geometry.

```
7
Lattice="-0.9345 -3.9938 0.3298 3.0691 -0.9314 -2.5779 1.5826 2.1142 4.4056" Properties=species:S:1:pos:R:3 pbc="T T T"
O 1.9605 -1.5509 -0.3881
O -0.0367 -3.0837 1.0706
O 1.7250 -1.2589 2.5136
O 3.7784 0.2659 1.1242
Mg 2.2178 0.7346 2.3811
Ti 0.4277 -1.0864 0.9037
Ti 3.2856 -1.7276 1.2567
```

Results
offset from the most stable computed form: 96 meV per atom
E_form: -3.1251 eV/atom
space-group type: No. 119

---

VASP calculation (GGA-PBE) on crystalline Ce4UO10 at its relaxed geometry.

```
15
Lattice="15.7108 -1.9369 0.0000 15.7108 1.9369 0.0000 15.4720 0.0000 3.3464" Properties=species:S:1:pos:R:3 pbc="T T T"
O 16.2850 0.0000 1.1621
O 39.8616 0.0000 2.8446
O 2.1374 0.0000 0.1525
O 30.6087 0.0000 2.1843
O 7.0321 0.0000 0.5018
O 11.8249 0.0000 0.8438
O 44.7564 0.0000 3.1938
O 21.0602 0.0000 1.5029
O 35.0688 0.0000 2.5025
O 25.8335 0.0000 1.8435
Ce 37.5220 0.0000 2.6776
Ce 9.3718 0.0000 0.6688
Ce 18.7595 0.0000 1.3387
Ce 28.1343 0.0000 2.0077
U 0.0000 0.0000 0.0000
```

Results
offset from the most stable computed form: 0 meV per atom
E_form: -4.0084 eV/atom
space-group type: No. 166

---

VASP calculation (GGA-PBE) on crystalline CaAs at its relaxed geometry.

```
16
Lattice="-1.0828 -0.9610 5.1131 7.7655 -1.1748 1.4237 1.4857 13.2109 2.7977" Properties=species:S:1:pos:R:3 pbc="T T T"
Ca 7.2184 10.8815 5.6940
Ca 2.2793 6.4091 6.5689
Ca 3.6255 11.7262 3.6133
Ca 6.4519 6.0790 5.9119
Ca 1.7165 4.9960 3.4226
Ca 0.9500 0.1936 3.6405
Ca 4.5428 -0.6511 5.7212
Ca 5.8891 4.6659 2.7656
As 4.0503 6.7611 4.2715
As 4.1180 4.3139 5.0630
As -0.0636 4.6361 5.7624
As 3.8593 0.0722 2.9739
As 4.3090 11.0028 6.3607
As 7.8929 10.1502 8.4838
As 8.2320 6.4390 3.5721
As 0.2755 0.9249 0.8507
```

Results
E_form: -0.7326 eV/atom
space-group type: No. 60

---

VASP calculation (GGA-PBE) on crystalline MgSi2 at its relaxed geometry.

```
12
Lattice="-0.5246 -2.0312 -2.9677 3.7901 -4.6284 0.3691 -6.8670 -6.4571 4.8047" Properties=species:S:1:pos:R:3 pbc="T T T"
Si 0.7213 -8.4964 -0.9869
Si -3.4203 -12.0058 1.8152
Si 0.2696 -4.5176 -0.8761
Si -1.7542 -3.8788 0.5970
Si 1.8128 -4.3469 0.9012
Si -5.4033 -6.6754 2.8547
Si -3.3229 -7.5693 1.2846
Si -3.3278 -5.2583 1.9531
Mg -4.6468 -9.5342 2.5490
Mg -0.9794 -6.7270 0.2525
Mg -0.2552 -1.7711 -0.4976
Mg -1.8273 -9.9505 0.4223
```

Results
offset from the most stable computed form: 87 meV per atom
E_form: 0.1646 eV/atom
space-group type: No. 1

---

VASP calculation (GGA-PBE) on crystalline Rb2LuCuCl6 at its relaxed geometry.

```
10
Lattice="-1.6660 -6.4476 2.9867 -5.5627 -3.9172 -2.6418 1.3021 -6.1696 -3.6752" Properties=species:S:1:pos:R:3 pbc="T T T"
Rb -1.4816 -4.1336 -0.8326
Rb -4.4449 -12.4008 -2.4977
Cl -2.3161 -7.3594 0.6555
Cl -0.8354 -7.2208 -2.6679
Cl -1.6665 -10.4373 -1.1779
Cl -5.0912 -9.3136 -0.6624
Cl -4.2600 -6.0971 -2.1524
Cl -3.6105 -9.1750 -3.9858
Cu -2.9633 -8.2672 -1.6652
Lu 0.0000 0.0000 0.0000
```

Results
E_form: -2.1376 eV/atom
space-group type: No. 225

---

VASP calculation (GGA-PBE) on crystalline Dy5Ni2Sb at its relaxed geometry.

```
16
Lattice="-4.2294 -2.8183 6.9312 -3.5998 7.1987 3.0155 -0.4448 -3.1007 -8.0038" Properties=species:S:1:pos:R:3 pbc="T T T"
Dy 0.0000 0.0000 0.0000
Dy -3.9146 2.1902 4.9734
Dy -5.9597 0.1162 6.7496
Dy -3.8133 -1.0846 4.0227
Dy -2.3144 1.1634 -4.8066
Dy -4.9623 2.0702 1.7289
Dy -1.1653 -1.9915 -2.5129
Dy -4.4607 2.3642 -2.0797
Dy -7.1087 3.2711 4.4558
Dy -3.3117 -0.7906 0.2140
Ni -4.7910 4.4785 3.2759
Ni -6.1690 0.5472 3.9224
Ni -3.4831 -3.1989 -1.3329
Ni -2.1051 0.7324 -1.9795
Sb -1.9573 1.0951 2.4867
Sb -5.8719 3.2852 7.4601
```

Results
E_form: -0.5593 eV/atom
space-group type: No. 140

---

VASP calculation (GGA-PBE) on crystalline K2Be2Si3O9 at its relaxed geometry.

```
64
Lattice="6.9809 0.0000 0.0000 0.0000 10.3149 0.0000 0.0000 3.5228 11.7298" Properties=species:S:1:pos:R:3 pbc="T T T"
O 6.6381 1.8059 1.6418
O 6.8496 4.2908 10.8141
O 6.0976 8.8809 3.3084
O 0.3428 12.0318 10.0880
O 2.9713 7.7027 5.0863
O 4.3360 2.6751 0.6462
O 0.8833 4.9568 8.4214
O 5.2081 3.5646 3.0075
O 5.5877 8.1768 5.8649
O 4.0096 6.1350 6.6434
O 3.6217 2.5294 4.9493
O 2.6449 11.1626 11.0836
O 3.8333 3.5673 7.5066
O 3.1476 10.2704 4.2231
O 6.4618 4.3736 0.7786
O 1.4146 3.0173 6.5736
O 2.6072 3.1954 2.5565
O 6.1354 4.4365 6.5110
O 3.3592 11.3083 6.7805
O 3.5378 8.6988 7.5495
O 1.7728 10.2731 8.7223
O 0.1313 9.5469 0.9156
O 4.9051 12.5817 11.0211
O 4.8837 6.4154 0.0000
O 3.4431 5.1389 4.1803
O 6.9335 6.9374 1.6846
O 5.5663 10.8203 5.1562
O 0.5191 9.4641 10.9512
O 5.2633 5.3260 8.8724
O 2.0758 1.2560 0.7087
O 4.3738 10.6423 9.1733
O 1.3932 5.6609 5.8648
O 2.0972 7.4223 11.7297
O 0.8455 9.4012 5.2187
O 1.7176 8.5117 2.8574
O 0.0474 6.9003 10.0452
K 4.2355 10.1876 1.7324
K 0.8814 7.8408 7.5530
K 2.7455 3.6501 9.9974
K 0.7450 1.8887 4.1325
K 4.3719 7.7582 10.0417
K 6.0995 5.9968 4.1768
K 6.2359 11.9490 7.5973
K 2.6090 6.0794 1.6881
Si 3.2719 10.2208 7.9936
Si 4.2926 11.1006 10.7850
Si 0.8022 4.4985 6.8097
Si 6.1788 9.3392 4.9201
Si 6.7623 5.3782 9.6010
Si 2.2210 8.9730 4.3801
Si 0.2186 8.4594 2.1287
Si 1.2695 10.7344 10.2450
Si 2.6883 2.7371 0.9448
Si 5.7114 3.1033 1.4848
Si 3.7091 3.6168 3.7362
Si 4.7600 4.8646 7.3496
Be 4.1228 7.8001 6.3565
Be 6.4787 12.9669 11.0551
Be 0.5022 0.8707 0.6747
Be 0.6323 7.7990 11.2381
Be 3.9927 11.2055 5.1902
Be 6.3486 6.0387 0.4917
Be 2.8582 6.0376 5.3732
Be 2.9883 2.6321 6.5396
```

Results
E_form: -3.0714 eV/atom
space-group type: No. 14

---

Question: What is the E_form in the second record?
Answer: -2.7610 eV/atom

---

Question: E_form of number 6 (MgTi2O4)?
Answer: -3.1251 eV/atom